# 1
Entry from the Materials Project database: a geometry-optimized Sn2PH32C11N3Cl2O structure (GGA-PBE).

Output
Size of the total moment (Bohr magnetons per cell): 0.00
Total energy after the MP2020 corrections (eV/atom): -5.190
E_form (eV per atom): -0.24
Calculated volume (Å³ per atom): 13.1
Final energy (eV per cell): -1076.756

POSCAR file:
```
Sn2PH32C11N3Cl2O
1.0
6.462 8.509 -7.750
9.415 -9.264 -2.321
-7.983 -5.054 -12.206
C Cl H Sn N O P
44 8 128 8 12 4 4
Direct
0.390 0.886 0.102
0.841 0.438 0.989
0.881 0.478 0.203
0.589 0.654 0.180
0.110 0.386 0.398
0.119 0.522 0.797
0.390 0.386 0.398
0.411 0.846 0.680
0.341 0.562 0.011
0.391 0.778 0.383
0.609 0.222 0.617
0.609 0.722 0.883
0.619 0.978 0.297
0.341 0.062 0.489
0.119 0.022 0.703
0.911 0.654 0.180
0.841 0.938 0.511
0.159 0.562 0.011
0.089 0.346 0.820
0.659 0.938 0.511
0.109 0.278 0.117
0.381 0.522 0.797
0.109 0.778 0.383
0.890 0.614 0.602
0.659 0.438 0.989
0.610 0.614 0.602
0.159 0.062 0.489
0.891 0.222 0.617
0.610 0.114 0.898
0.881 0.978 0.297
0.250 0.088 0.991
0.911 0.154 0.320
0.250 0.588 0.509
0.381 0.022 0.703
0.891 0.722 0.883
0.391 0.278 0.117
0.411 0.346 0.820
0.750 0.912 0.009
0.089 0.846 0.680
0.589 0.154 0.320
0.619 0.478 0.203
0.110 0.886 0.102
0.750 0.412 0.491
0.890 0.114 0.898
0.750 0.412 0.708
0.750 0.912 0.792
0.250 0.840 0.915
0.250 0.088 0.208
0.750 0.660 0.415
0.250 0.588 0.292
0.250 0.340 0.585
0.750 0.160 0.085
0.682 0.907 0.051
0.123 0.832 0.331
0.623 0.168 0.669
0.493 0.363 0.820
0.425 0.317 0.062
0.591 0.973 0.484
0.338 0.046 0.419
0.846 0.410 0.177
0.162 0.046 0.419
0.575 0.183 0.562
0.063 0.949 0.122
0.925 0.183 0.562
0.507 0.137 0.320
0.963 0.967 0.296
0.873 0.161 0.842
0.558 0.780 0.859
0.346 0.644 0.003
0.111 0.326 0.754
0.463 0.033 0.704
0.318 0.593 0.551
0.856 0.488 0.271
0.162 0.546 0.081
0.877 0.668 0.831
0.105 0.284 0.864
0.654 0.356 0.997
0.105 0.784 0.636
0.942 0.280 0.641
0.154 0.644 0.003
0.563 0.551 0.622
0.389 0.326 0.754
0.377 0.332 0.169
0.889 0.674 0.246
0.493 0.863 0.680
0.428 0.341 0.448
0.963 0.467 0.204
0.127 0.339 0.342
0.154 0.090 0.677
0.537 0.467 0.204
0.346 0.590 0.823
0.877 0.168 0.669
0.627 0.661 0.658
0.662 0.454 0.919
0.346 0.144 0.497
0.654 0.410 0.177
0.007 0.363 0.820
0.072 0.841 0.052
0.942 0.780 0.859
0.338 0.546 0.081
0.409 0.027 0.516
0.605 0.716 0.136
0.627 0.161 0.842
0.007 0.863 0.680
0.037 0.533 0.796
0.442 0.220 0.141
0.428 0.841 0.052
0.395 0.284 0.864
0.037 0.033 0.704
0.846 0.856 0.503
0.144 0.512 0.729
0.395 0.784 0.636
0.563 0.051 0.878
0.682 0.407 0.449
0.091 0.027 0.516
0.623 0.668 0.831
0.575 0.683 0.938
0.507 0.637 0.180
0.425 0.817 0.438
0.909 0.473 0.016
0.856 0.988 0.229
0.091 0.527 0.984
0.356 0.512 0.729
0.611 0.174 0.254
0.111 0.826 0.746
0.654 0.856 0.503
0.873 0.661 0.658
0.409 0.527 0.984
0.389 0.826 0.746
0.127 0.839 0.158
0.838 0.454 0.919
0.437 0.949 0.122
0.437 0.449 0.378
0.993 0.137 0.320
0.154 0.144 0.497
0.182 0.093 0.949
0.644 0.988 0.229
0.075 0.317 0.062
0.373 0.339 0.342
0.154 0.590 0.823
0.895 0.216 0.364
0.818 0.907 0.051
0.373 0.839 0.158
0.058 0.220 0.141
0.442 0.720 0.359
0.144 0.012 0.771
0.356 0.012 0.771
0.182 0.593 0.551
0.644 0.488 0.271
0.928 0.659 0.552
0.537 0.967 0.296
0.591 0.473 0.016
0.611 0.674 0.246
0.993 0.637 0.180
0.058 0.720 0.359
0.846 0.356 0.997
0.123 0.332 0.169
0.463 0.533 0.796
0.928 0.159 0.948
0.909 0.973 0.484
0.572 0.159 0.948
0.818 0.407 0.449
0.318 0.093 0.949
0.075 0.817 0.438
0.925 0.683 0.938
0.846 0.910 0.323
0.895 0.716 0.136
0.937 0.051 0.878
0.558 0.280 0.641
0.937 0.551 0.622
0.838 0.954 0.581
0.572 0.659 0.552
0.889 0.174 0.254
0.662 0.954 0.581
0.346 0.090 0.677
0.063 0.449 0.378
0.377 0.832 0.331
0.654 0.910 0.323
0.605 0.216 0.364
0.072 0.341 0.448
0.250 0.441 0.451
0.250 0.941 0.049
0.750 0.288 0.579
0.750 0.788 0.921
0.250 0.712 0.421
0.750 0.059 0.951
0.250 0.212 0.079
0.750 0.559 0.549
0.143 0.435 0.850
0.750 0.974 0.468
0.250 0.526 0.968
0.750 0.474 0.032
0.250 0.026 0.532
0.143 0.935 0.650
0.357 0.435 0.850
0.857 0.065 0.350
0.643 0.065 0.350
0.357 0.935 0.650
0.857 0.565 0.150
0.643 0.565 0.150
0.750 0.677 0.049
0.750 0.177 0.451
0.250 0.323 0.951
0.250 0.823 0.549
0.250 0.924 0.593
0.250 0.424 0.907
0.750 0.576 0.093
0.750 0.076 0.407
```

***

# 2
Entry from the Materials Project database: a geometry-optimized PrB4Os4 structure (GGA-PBE).

Output
Size of the total moment (Bohr magnetons per cell): 0.01
E_form (eV per atom): -0.38
Calculated volume (Å³ per atom): 13.0
Final energy (eV per cell): -159.567

POSCAR file:
```
PrB4Os4
1.0
-2.808 -2.621 1.148
-2.199 -0.823 -7.260
4.982 -5.715 -0.861
B Os Pr
8 8 2
Direct
0.639 0.415 0.533
0.139 0.033 0.585
0.639 0.085 0.967
0.861 0.533 0.085
0.361 0.915 0.033
0.861 0.967 0.415
0.139 0.467 0.915
0.361 0.585 0.467
0.139 0.104 0.856
0.139 0.396 0.644
0.361 0.644 0.104
0.361 0.856 0.396
0.861 0.604 0.356
0.639 0.144 0.604
0.639 0.356 0.896
0.861 0.896 0.144
0.750 0.750 0.750
0.250 0.250 0.250
```

***

# 3
Entry from the Materials Project database: a geometry-optimized SiC structure (GGA-PBE).

Output
Size of the total moment (Bohr magnetons per cell): 0.00
Excess energy over the best structure of this formula in the dataset (kJ/mol of atoms): 3.1
E_form (eV per atom): -0.17
Calculated volume (Å³ per atom): 10.5
Final energy (eV per cell): -194.976

POSCAR file:
```
SiC
1.0
3.085 -0.006 32.759
1.534 2.677 32.759
-0.010 -0.006 32.904
C Si
13 13
Direct
0.250 0.250 0.250
0.737 0.737 0.737
0.378 0.378 0.378
0.635 0.635 0.635
0.891 0.891 0.891
0.788 0.788 0.788
0.019 0.019 0.019
0.942 0.942 0.942
0.481 0.481 0.481
0.173 0.173 0.173
0.532 0.532 0.532
0.096 0.096 0.096
0.327 0.327 0.327
0.923 0.923 0.923
0.718 0.718 0.718
0.231 0.231 0.231
0.359 0.359 0.359
0.872 0.872 0.872
0.513 0.513 0.513
0.000 0.000 0.000
0.769 0.769 0.769
0.615 0.615 0.615
0.077 0.077 0.077
0.462 0.462 0.462
0.154 0.154 0.154
0.308 0.308 0.308
```

***

Number 1: calculated density 1.37 g cm⁻³. Number 2: calculated density 13.45 g cm⁻³. Number 3: calculated density 3.17 g cm⁻³.